# 1
DFT (r²SCAN) results for a relaxed structure of U2Si4W3.

abc: 6.8759 6.9067 6.7289
angles: 90.00 109.49 90.00
Sites, in units of the cell vectors:
U1 0.1879 0.1656 0.0581
U2 0.1879 0.3344 0.5581
U3 0.8121 0.6656 0.4419
U4 0.8121 0.8344 0.9419
Si1 0.0903 0.5433 0.8708
Si2 0.0903 0.9567 0.3708
Si3 0.4981 0.6329 0.6312
Si4 0.4981 0.8671 0.1312
Si5 0.5019 0.1329 0.8688
Si6 0.5019 0.3671 0.3688
Si7 0.9097 0.0433 0.6292
Si8 0.9097 0.4567 0.1292
W1 0.2450 0.6637 0.2530
W2 0.2450 0.8363 0.7530
W3 0.5000 0.0000 0.5000
W4 0.5000 0.5000 0.0000
W5 0.7550 0.1637 0.2470
W6 0.7550 0.3363 0.7470

For the calculated formation energy, the calculation gives -0.35 eV per atom. The calculation puts the volume at 16.74 Å³ per atom. The total energy is -39.1417 eV/atom.



# 2
DFT (r²SCAN) results for a relaxed structure of Dy4Sb3.

abc: 7.9377 7.9377 7.9377
angles: 109.47 109.47 109.47
Sites, in units of the cell vectors:
Dy1 0.0000 0.1436 0.5000
Dy2 0.0000 0.6436 0.5000
Dy3 0.1436 0.5000 0.0000
Dy4 0.3564 0.3564 0.3564
Dy5 0.5000 0.0000 0.1436
Dy6 0.5000 0.0000 0.6436
Dy7 0.6436 0.5000 0.0000
Dy8 0.8564 0.8564 0.8564
Sb1 0.1250 0.8750 0.2500
Sb2 0.2500 0.1250 0.8750
Sb3 0.3750 0.6250 0.7500
Sb4 0.6250 0.7500 0.3750
Sb5 0.7500 0.3750 0.6250
Sb6 0.8750 0.2500 0.1250

For the calculated formation energy, the calculation gives -1.15 eV per atom. The calculation puts the volume at 27.50 Å³ per atom. The total energy is -30.4468 eV/atom.



# 3
DFT (r²SCAN) results for a relaxed structure of Ca2SnS4.

abc: 13.9751 8.2200 6.5625
angles: 90.00 90.00 90.00
Sites, in units of the cell vectors:
Ca1 0.0000 0.0000 0.0000
Ca2 0.0000 0.5000 0.0000
Ca3 0.2282 0.2500 0.4898
Ca4 0.2718 0.7500 0.9898
Ca5 0.5000 0.0000 0.5000
Ca6 0.5000 0.5000 0.5000
Ca7 0.7282 0.2500 0.0102
Ca8 0.7718 0.7500 0.5102
Sn1 0.0929 0.7500 0.4145
Sn2 0.4071 0.2500 0.9145
Sn3 0.5929 0.7500 0.0855
Sn4 0.9071 0.2500 0.5855
S1 0.0643 0.2500 0.7379
S2 0.0931 0.7500 0.7756
S3 0.1690 0.5229 0.2486
S4 0.1690 0.9771 0.2486
S5 0.3310 0.0229 0.7486
S6 0.3310 0.4771 0.7486
S7 0.4069 0.2500 0.2756
S8 0.4357 0.7500 0.2379
S9 0.5643 0.2500 0.7621
S10 0.5931 0.7500 0.7244
S11 0.6690 0.5229 0.2514
S12 0.6690 0.9771 0.2514
S13 0.8310 0.0229 0.7514
S14 0.8310 0.4771 0.7514
S15 0.9069 0.2500 0.2244
S16 0.9357 0.7500 0.2621

For the calculated formation energy, the calculation gives -1.60 eV per atom. The calculation puts the volume at 26.92 Å³ per atom. The total energy is -11.7330 eV/atom. Its energy above the lowest structure with this stoichiometry is 0.000 eV/atom.



# 4
DFT (r²SCAN) results for a relaxed structure of Ca3Ga3Ir2.

abc: 8.1007 14.7818 5.8174
angles: 90.00 90.00 90.00
Sites, in units of the cell vectors:
Ca1 0.0473 0.1077 0.1129
Ca2 0.0473 0.3923 0.1129
Ca3 0.1987 0.2500 0.6195
Ca4 0.3013 0.7500 0.1195
Ca5 0.4527 0.6077 0.6129
Ca6 0.4527 0.8923 0.6129
Ca7 0.5473 0.1077 0.3871
Ca8 0.5473 0.3923 0.3871
Ca9 0.6987 0.2500 0.8805
Ca10 0.8013 0.7500 0.3805
Ca11 0.9527 0.6077 0.8871
Ca12 0.9527 0.8923 0.8871
Ga1 0.1440 0.7500 0.5728
Ga2 0.1776 0.0399 0.6282
Ga3 0.1776 0.4601 0.6282
Ga4 0.3224 0.5399 0.1282
Ga5 0.3224 0.9601 0.1282
Ga6 0.3560 0.2500 0.0728
Ga7 0.6440 0.7500 0.9272
Ga8 0.6776 0.0399 0.8718
Ga9 0.6776 0.4601 0.8718
Ga10 0.8224 0.5399 0.3718
Ga11 0.8224 0.9601 0.3718
Ga12 0.8560 0.2500 0.4272
Ir1 0.1096 0.5978 0.3948
Ir2 0.1096 0.9022 0.3948
Ir3 0.3904 0.0978 0.8948
Ir4 0.3904 0.4022 0.8948
Ir5 0.6096 0.5978 0.1052
Ir6 0.6096 0.9022 0.1052
Ir7 0.8904 0.0978 0.6052
Ir8 0.8904 0.4022 0.6052

For the calculated formation energy, the calculation gives -0.71 eV per atom. The calculation puts the volume at 21.77 Å³ per atom. The total energy is -20.7264 eV/atom.



# 5
DFT (r²SCAN) results for a relaxed structure of Nd2USe5.

abc: 12.4390 8.4744 7.8898
angles: 90.00 90.00 90.00
Sites, in units of the cell vectors:
Nd1 0.1780 0.0013 0.0220
Nd2 0.1780 0.4987 0.0220
Nd3 0.3220 0.5013 0.5220
Nd4 0.3220 0.9987 0.5220
Nd5 0.6780 0.0013 0.4780
Nd6 0.6780 0.4987 0.4780
Nd7 0.8220 0.5013 0.9780
Nd8 0.8220 0.9987 0.9780
U1 0.0094 0.7500 0.5739
U2 0.4906 0.2500 0.0739
U3 0.5094 0.7500 0.9261
U4 0.9906 0.2500 0.4261
Se1 0.9996 0.2500 0.0427
Se2 0.0004 0.7500 0.9573
Se3 0.0963 0.0423 0.6634
Se4 0.0963 0.4577 0.6634
Se5 0.1845 0.7500 0.3294
Se6 0.2143 0.2500 0.3030
Se7 0.2857 0.7500 0.8030
Se8 0.3155 0.2500 0.8294
Se9 0.4037 0.5423 0.1634
Se10 0.4037 0.9577 0.1634
Se11 0.4996 0.2500 0.4573
Se12 0.5004 0.7500 0.5427
Se13 0.5963 0.0423 0.8366
Se14 0.5963 0.4577 0.8366
Se15 0.6845 0.7500 0.1706
Se16 0.7143 0.2500 0.1970
Se17 0.7857 0.7500 0.6970
Se18 0.8155 0.2500 0.6706
Se19 0.9037 0.5423 0.3366
Se20 0.9037 0.9577 0.3366

For the calculated formation energy, the calculation gives -1.99 eV per atom. The calculation puts the volume at 25.99 Å³ per atom. The total energy is -28.2842 eV/atom.



# 6
DFT (r²SCAN) results for a relaxed structure of Ti2CN.

abc: 3.0272 3.0272 14.8666
angles: 90.00 90.00 120.00
Sites, in units of the cell vectors:
Ti1 0.0000 0.0000 0.2492
Ti2 0.0000 0.0000 0.7508
Ti3 0.3333 0.6667 0.4174
Ti4 0.3333 0.6667 0.9159
Ti5 0.6667 0.3333 0.0841
Ti6 0.6667 0.3333 0.5826
C1 0.0000 0.0000 0.5000
C2 0.3333 0.6667 0.1667
C3 0.6667 0.3333 0.8333
N1 0.0000 0.0000 0.0000
N2 0.3333 0.6667 0.6667
N3 0.6667 0.3333 0.3333

For the calculated formation energy, the calculation gives -1.49 eV per atom. The calculation puts the volume at 9.83 Å³ per atom. The total energy is -12.7309 eV/atom.



# 7
DFT (r²SCAN) results for a relaxed structure of YbY2Se4.

abc: 6.8916 4.0487 6.9552
angles: 90.00 108.58 90.00
Sites, in units of the cell vectors:
Yb1 0.0000 0.0000 0.0000
Y1 0.5000 0.0000 0.5000
Y2 0.5000 0.5000 0.0000
Se1 0.2394 0.5000 0.2513
Se2 0.2487 0.0000 0.7540
Se3 0.7513 0.0000 0.2460
Se4 0.7606 0.5000 0.7487

For the calculated formation energy, the calculation gives -2.15 eV per atom. The calculation puts the volume at 26.28 Å³ per atom. The total energy is -21.3463 eV/atom.



# 8
DFT (r²SCAN) results for a relaxed structure of InP3.

abc: 5.4788 5.4788 5.4788
angles: 86.11 86.11 86.11
Sites, in units of the cell vectors:
In1 0.2294 0.2294 0.2294
In2 0.7706 0.7706 0.7706
P1 0.2551 0.7011 0.7011
P2 0.2989 0.2989 0.7449
P3 0.2989 0.7449 0.2989
P4 0.7011 0.2551 0.7011
P5 0.7011 0.7011 0.2551
P6 0.7449 0.2989 0.2989

For the calculated formation energy, the calculation gives -0.12 eV per atom. The calculation puts the volume at 20.42 Å³ per atom. The total energy is -12.5201 eV/atom.



# 9
DFT (r²SCAN) results for a relaxed structure of HoCo2Ge2.

abc: 3.9109 3.9109 10.0261
angles: 90.00 90.00 90.00
Sites, in units of the cell vectors:
Ho1 0.0000 0.0000 0.0000
Ho2 0.5000 0.5000 0.5000
Co1 0.0000 0.5000 0.2500
Co2 0.0000 0.5000 0.7500
Co3 0.5000 0.0000 0.2500
Co4 0.5000 0.0000 0.7500
Ge1 0.0000 0.0000 0.3724
Ge2 0.0000 0.0000 0.6276
Ge3 0.5000 0.5000 0.1276
Ge4 0.5000 0.5000 0.8724

For the calculated formation energy, the calculation gives -0.56 eV per atom. The calculation puts the volume at 15.34 Å³ per atom. The total energy is -17.9825 eV/atom.



# 10
DFT (r²SCAN) results for a relaxed structure of BaI2.

abc: 8.9963 5.3724 10.8261
angles: 90.00 90.00 90.00
Sites, in units of the cell vectors:
Ba1 0.2470 0.2500 0.1158
Ba2 0.2530 0.7500 0.6158
Ba3 0.7470 0.2500 0.3842
Ba4 0.7530 0.7500 0.8842
I1 0.0238 0.2500 0.8342
I2 0.1426 0.2500 0.4272
I3 0.3574 0.7500 0.9272
I4 0.4762 0.7500 0.3342
I5 0.5238 0.2500 0.6658
I6 0.6426 0.2500 0.0728
I7 0.8574 0.7500 0.5728
I8 0.9762 0.7500 0.1658

For the calculated formation energy, the calculation gives -2.05 eV per atom. The calculation puts the volume at 43.60 Å³ per atom. The total energy is -27.2515 eV/atom.



# 11
DFT (r²SCAN) results for a relaxed structure of Li2Ni12P7.

abc: 8.9275 8.9275 3.5138
angles: 90.00 90.00 120.00
Sites, in units of the cell vectors:
Li1 0.0000 0.0000 0.0000
Li2 0.3333 0.6667 0.5000
Ni1 0.0503 0.7678 0.5000
Ni2 0.1017 0.3939 0.0000
Ni3 0.2322 0.2825 0.5000
Ni4 0.2923 0.8983 0.0000
Ni5 0.3895 0.2149 0.0000
Ni6 0.5398 0.1135 0.5000
Ni7 0.5736 0.4602 0.5000
Ni8 0.6061 0.7077 0.0000
Ni9 0.7175 0.9498 0.5000
Ni10 0.7851 0.1746 0.0000
Ni11 0.8254 0.6105 0.0000
Ni12 0.8865 0.4264 0.5000
P1 0.0846 0.6280 0.0000
P2 0.2532 0.0402 0.5000
P3 0.3720 0.4567 0.0000
P4 0.5433 0.9154 0.0000
P5 0.6667 0.3333 0.0000
P6 0.7870 0.7468 0.5000
P7 0.9598 0.2130 0.5000

For the calculated formation energy, the calculation gives -0.60 eV per atom. The calculation puts the volume at 11.55 Å³ per atom. The total energy is -10.6764 eV/atom.



# 12
DFT (r²SCAN) results for a relaxed structure of Lu2CdAg.

abc: 7.1728 7.1728 7.1728
angles: 90.00 90.00 90.00
Sites, in units of the cell vectors:
Lu1 0.2500 0.2500 0.2500
Lu2 0.2500 0.2500 0.7500
Lu3 0.2500 0.7500 0.2500
Lu4 0.2500 0.7500 0.7500
Lu5 0.7500 0.2500 0.2500
Lu6 0.7500 0.2500 0.7500
Lu7 0.7500 0.7500 0.2500
Lu8 0.7500 0.7500 0.7500
Cd1 0.0000 0.0000 0.0000
Cd2 0.0000 0.5000 0.5000
Cd3 0.5000 0.0000 0.5000
Cd4 0.5000 0.5000 0.0000
Ag1 0.0000 0.0000 0.5000
Ag2 0.0000 0.5000 0.0000
Ag3 0.5000 0.0000 0.0000
Ag4 0.5000 0.5000 0.5000

For the calculated formation energy, the calculation gives -0.35 eV per atom. The calculation puts the volume at 23.07 Å³ per atom. The total energy is -29.7516 eV/atom.



| no. | total magnetization (μB/atom) |
| --- | --- |
| 1 | 0.49 |
| 2 | 0.00 |
| 3 | 0.00 |
| 4 | 0.03 |
| 5 | 0.25 |
| 6 | 0.00 |
| 7 | 0.00 |
| 8 | 0.00 |
| 9 | 0.00 |
| 10 | 0.00 |
| 11 | 0.00 |
| 12 | 0.00 |